# Ce2CuBiS5 (PBE, optimized geometry)
# energy of formation from the pure elements: -1.53 eV per atom
# calculated volume: 202.7 Å³/f.u.
data_Ce2CuBiS5
_chemical_formula_sum 'Ce8 Cu4 Bi4 S20'
_symmetry_space_group_name_H-M 'P n m a'
_symmetry_Int_Tables_number 62
_cell_length_a 12.019
_cell_length_b 3.957
_cell_length_c 17.045
_cell_angle_alpha 90.00
_cell_angle_beta 90.00
_cell_angle_gamma 90.00
loop_
_symmetry_equiv_pos_as_xyz
'x,y,z'
'-x,-y,-z'
'-x+1/2,-y,z+1/2'
'x+1/2,y,-z+1/2'
'x+1/2,-y+1/2,-z+1/2'
'-x+1/2,y+1/2,z+1/2'
'-x,y+1/2,-z'
'x,-y+1/2,z'
loop_
_atom_site_label
_atom_site_fract_x
_atom_site_fract_y
_atom_site_fract_z
Ce1 0.038 0.250 0.176
Ce2 0.124 0.750 0.599
Cu1 0.096 0.750 0.997
Bi1 0.199 0.750 0.363
S1 0.012 0.250 0.702
S2 0.082 0.250 0.923
S3 0.105 0.250 0.471
S4 0.194 0.750 0.111
S5 0.235 0.750 0.764

# NaSrCeBiO6 (PBE, optimized geometry)
# energy of formation from the pure elements: -2.53 eV per atom
# calculated volume: 161.0 Å³/f.u.
# polymorph energy (0 for the lowest one): 59 meV per atom
data_NaSrCeBiO6
_chemical_formula_sum 'Na4 Sr4 Ce4 Bi4 O24'
_symmetry_space_group_name_H-M 'F -4 3 m'
_symmetry_Int_Tables_number 216
_symmetry_space_group_name_Hall 'F -4 2 3'
_cell_length_a 8.635
_cell_length_b 8.635
_cell_length_c 8.635
_cell_angle_alpha 90.00
_cell_angle_beta 90.00
_cell_angle_gamma 90.00
loop_
_atom_site_label
_atom_site_fract_x
_atom_site_fract_y
_atom_site_fract_z
Na1 0.000 0.000 0.000
Sr1 0.000 0.000 0.500
Ce1 0.250 0.250 0.250
Bi1 0.250 0.250 0.750
O1 0.005 0.250 0.750

# NaSrCeBiO6 (PBE, optimized geometry)
# energy of formation from the pure elements: -2.59 eV per atom
# calculated volume: 155.0 Å³/f.u.
# polymorph energy (0 for the lowest one): 0 meV per atom
data_NaSrCeBiO6
_chemical_formula_sum 'Na4 Sr4 Ce4 Bi4 O24'
_symmetry_space_group_name_H-M 'P n n n'
_symmetry_Int_Tables_number 48
_cell_length_a 8.516
_cell_length_b 8.532
_cell_length_c 8.534
_cell_angle_alpha 90.00
_cell_angle_beta 90.00
_cell_angle_gamma 90.00
loop_
_symmetry_equiv_pos_as_xyz
'x,y,z'
'-x,-y,-z'
'-x+1/2,-y+1/2,z'
'x+1/2,y+1/2,-z'
'x,-y+1/2,-z+1/2'
'-x,y+1/2,z+1/2'
'-x+1/2,y,-z+1/2'
'x+1/2,-y,z+1/2'
loop_
_atom_site_label
_atom_site_fract_x
_atom_site_fract_y
_atom_site_fract_z
Na1 0.250 0.250 0.250
Na2 0.250 0.750 0.750
Sr1 0.250 0.250 0.750
Sr2 0.250 0.750 0.250
Ce1 0.000 0.000 0.000
Bi1 0.000 0.000 0.500
O1 0.035 0.044 0.745
O2 0.043 0.245 0.466
O3 0.245 0.546 0.031